[1]
Compound: Sr2CaI6
Source: the Materials Project database
Functional: PBE-GGA
Structure: optimized geometry

```
data_Sr2CaI6
_chemical_formula_sum 'Sr2 Ca1 I6'
_cell_length_a 8.151
_cell_length_b 8.151
_cell_length_c 7.190
_cell_angle_alpha 90.00
_cell_angle_beta 90.00
_cell_angle_gamma 120.00
_space_group_name_H-M_alt 'P 1'
_space_group_IT_number 1
_space_group_name_Hall 'P 1'
loop_
_atom_site_label
_atom_site_type_symbol
_atom_site_fract_x
_atom_site_fract_y
_atom_site_fract_z
Sr1 Sr 0.333 0.667 0.500
Sr2 Sr 0.667 0.333 0.500
Ca1 Ca 0.000 0.000 0.000
I1 I 0.000 0.671 0.758
I2 I 0.000 0.329 0.242
I3 I 0.329 0.329 0.758
I4 I 0.671 0.671 0.242
I5 I 0.329 0.000 0.242
I6 I 0.671 0.000 0.758
```

Values from the calculation:
M_tot in μB/cell: 0.00
E above lowest polymorph in eV per formula unit: 0.167

***

[2]
Compound: Li2YAl
Source: the Materials Project database
Functional: PBE-GGA
Structure: optimized geometry

```
data_Li2YAl
_chemical_formula_sum 'Li2 Y1 Al1'
_cell_length_a 6.685
_cell_length_b 6.685
_cell_length_c 6.685
_cell_angle_alpha 151.27
_cell_angle_beta 135.79
_cell_angle_gamma 53.58
_space_group_name_H-M_alt 'P 1'
_space_group_IT_number 1
_space_group_name_Hall 'P 1'
loop_
_atom_site_label
_atom_site_type_symbol
_atom_site_fract_x
_atom_site_fract_y
_atom_site_fract_z
Li1 Li 0.220 0.220 0.000
Li2 Li 0.780 0.780 0.000
Y1 Y 0.500 0.500 0.000
Al1 Al 0.000 0.000 0.000
```

Values from the calculation:
M_tot in μB/cell: 0.00

***

[3]
Compound: KRe6Se5Cl7O3
Source: the Materials Project database
Functional: PBE-GGA
Structure: optimized geometry

```
data_KRe6Se5Cl7O3
_chemical_formula_sum 'K1 Re6 Se5 Cl7 O3'
_cell_length_a 9.011
_cell_length_b 9.061
_cell_length_c 9.115
_cell_angle_alpha 65.20
_cell_angle_beta 66.60
_cell_angle_gamma 64.88
_space_group_name_H-M_alt 'P 1'
_space_group_IT_number 1
_space_group_name_Hall 'P 1'
loop_
_atom_site_label
_atom_site_type_symbol
_atom_site_fract_x
_atom_site_fract_y
_atom_site_fract_z
K1 K 0.492 0.500 0.494
Re1 Re 0.945 0.794 0.103
Re2 Re 0.806 0.100 0.941
Re3 Re 0.106 0.940 0.798
Re4 Re 0.049 0.204 0.886
Re5 Re 0.197 0.894 0.057
Re6 Re 0.880 0.054 0.202
Se1 Se 0.763 0.357 0.041
Se2 Se 0.345 0.049 0.750
Se3 Se 0.035 0.758 0.356
Se4 Se 0.243 0.640 0.970
Se5 Se 0.855 0.850 0.849
Cl1 Cl 0.115 0.468 0.744
Cl2 Cl 0.463 0.760 0.127
Cl3 Cl 0.739 0.123 0.458
Cl4 Cl 0.857 0.543 0.259
Cl5 Cl 0.539 0.253 0.872
Cl6 Cl 0.243 0.886 0.533
Cl7 Cl 0.141 0.148 0.143
O1 O 0.711 0.965 0.208
O2 O 0.971 0.203 0.706
O3 O 0.346 0.353 0.344
```

Values from the calculation:
M_tot in μB/cell: 2.00

***

[4]
Compound: Hf6BCl14
Source: the Materials Project database
Functional: PBE-GGA
Structure: optimized geometry

```
data_Hf6BCl14
_chemical_formula_sum 'Hf12 B2 Cl28'
_cell_length_a 9.637
_cell_length_b 9.637
_cell_length_c 11.611
_cell_angle_alpha 90.00
_cell_angle_beta 90.00
_cell_angle_gamma 95.15
_space_group_name_H-M_alt 'P 1'
_space_group_IT_number 1
_space_group_name_Hall 'P 1'
loop_
_atom_site_label
_atom_site_type_symbol
_atom_site_fract_x
_atom_site_fract_y
_atom_site_fract_z
Hf1 Hf 0.184 0.951 0.117
Hf2 Hf 0.816 0.049 0.883
Hf3 Hf 0.316 0.549 0.617
Hf4 Hf 0.451 0.684 0.383
Hf5 Hf 0.684 0.451 0.383
Hf6 Hf 0.549 0.316 0.617
Hf7 Hf 0.049 0.816 0.883
Hf8 Hf 0.951 0.184 0.117
Hf9 Hf 0.354 0.354 0.395
Hf10 Hf 0.646 0.646 0.605
Hf11 Hf 0.146 0.146 0.895
Hf12 Hf 0.854 0.854 0.105
B1 B 0.000 0.000 0.000
B2 B 0.500 0.500 0.500
Cl1 Cl 0.535 0.288 0.255
Cl2 Cl 0.465 0.712 0.745
Cl3 Cl 0.965 0.212 0.755
Cl4 Cl 0.788 0.035 0.245
Cl5 Cl 0.035 0.788 0.245
Cl6 Cl 0.212 0.965 0.755
Cl7 Cl 0.712 0.465 0.745
Cl8 Cl 0.288 0.535 0.255
Cl9 Cl 0.360 0.114 0.011
Cl10 Cl 0.640 0.886 0.989
Cl11 Cl 0.140 0.386 0.511
Cl12 Cl 0.614 0.860 0.489
Cl13 Cl 0.860 0.614 0.489
Cl14 Cl 0.386 0.140 0.511
Cl15 Cl 0.886 0.640 0.989
Cl16 Cl 0.114 0.360 0.011
Cl17 Cl 0.393 0.893 0.250
Cl18 Cl 0.607 0.107 0.750
Cl19 Cl 0.107 0.607 0.750
Cl20 Cl 0.893 0.393 0.250
Cl21 Cl 0.250 0.750 0.000
Cl22 Cl 0.750 0.250 0.000
Cl23 Cl 0.250 0.750 0.500
Cl24 Cl 0.750 0.250 0.500
Cl25 Cl 0.153 0.153 0.260
Cl26 Cl 0.847 0.847 0.740
Cl27 Cl 0.347 0.347 0.760
Cl28 Cl 0.653 0.653 0.240
```

***

[5]
Compound: CeSe2
Source: the Materials Project database
Functional: PBE-GGA
Structure: optimized geometry

```
data_CeSe2
_chemical_formula_sum 'Ce4 Se8'
_cell_length_a 4.186
_cell_length_b 4.186
_cell_length_c 25.692
_cell_angle_alpha 90.00
_cell_angle_beta 90.00
_cell_angle_gamma 120.00
_space_group_name_H-M_alt 'P 1'
_space_group_IT_number 1
_space_group_name_Hall 'P 1'
loop_
_atom_site_label
_atom_site_type_symbol
_atom_site_fract_x
_atom_site_fract_y
_atom_site_fract_z
Ce1 Ce 0.000 0.000 0.500
Ce2 Ce 0.000 0.000 0.000
Ce3 Ce 0.000 0.000 0.250
Ce4 Ce 0.000 0.000 0.750
Se1 Se 0.333 0.667 0.441
Se2 Se 0.667 0.333 0.559
Se3 Se 0.667 0.333 0.941
Se4 Se 0.333 0.667 0.059
Se5 Se 0.667 0.333 0.314
Se6 Se 0.333 0.667 0.686
Se7 Se 0.333 0.667 0.814
Se8 Se 0.667 0.333 0.186
```

Values from the calculation:
M_tot in μB/cell: 0.00

***

[6]
Compound: Eu2TlZn
Source: the Materials Project database
Functional: PBE-GGA
Structure: optimized geometry

```
data_Eu2TlZn
_chemical_formula_sum 'Eu2 Tl1 Zn1'
_cell_length_a 5.494
_cell_length_b 5.494
_cell_length_c 5.494
_cell_angle_alpha 60.00
_cell_angle_beta 60.00
_cell_angle_gamma 60.00
_space_group_name_H-M_alt 'P 1'
_space_group_IT_number 1
_space_group_name_Hall 'P 1'
loop_
_atom_site_label
_atom_site_type_symbol
_atom_site_fract_x
_atom_site_fract_y
_atom_site_fract_z
Eu1 Eu 0.250 0.250 0.250
Eu2 Eu 0.750 0.750 0.750
Tl1 Tl 0.500 0.500 0.500
Zn1 Zn 0.000 0.000 0.000
```

***

[7]
Compound: Ni3Ge
Source: the Materials Project database
Functional: PBE-GGA
Structure: optimized geometry

```
data_Ni3Ge
_chemical_formula_sum 'Ni3 Ge1'
_cell_length_a 3.579
_cell_length_b 3.579
_cell_length_c 3.579
_cell_angle_alpha 90.00
_cell_angle_beta 90.00
_cell_angle_gamma 90.00
_space_group_name_H-M_alt 'P 1'
_space_group_IT_number 1
_space_group_name_Hall 'P 1'
loop_
_atom_site_label
_atom_site_type_symbol
_atom_site_fract_x
_atom_site_fract_y
_atom_site_fract_z
Ni1 Ni 0.500 0.000 0.500
Ni2 Ni 0.000 0.500 0.500
Ni3 Ni 0.500 0.500 0.000
Ge1 Ge 0.000 0.000 0.000
```

***

[8]
Compound: Mg4Se3S
Source: the Materials Project database
Functional: PBE-GGA
Structure: optimized geometry

```
data_Mg4Se3S
_chemical_formula_sum 'Mg4 Se3 S1'
_cell_length_a 13.905
_cell_length_b 13.905
_cell_length_c 13.905
_cell_angle_alpha 17.34
_cell_angle_beta 17.34
_cell_angle_gamma 17.34
_space_group_name_H-M_alt 'P 1'
_space_group_IT_number 1
_space_group_name_Hall 'P 1'
loop_
_atom_site_label
_atom_site_type_symbol
_atom_site_fract_x
_atom_site_fract_y
_atom_site_fract_z
Mg1 Mg 0.002 0.002 0.002
Mg2 Mg 0.250 0.250 0.250
Mg3 Mg 0.500 0.500 0.500
Mg4 Mg 0.748 0.748 0.748
Se1 Se 0.939 0.939 0.939
Se2 Se 0.188 0.188 0.188
Se3 Se 0.437 0.437 0.437
S1 S 0.687 0.687 0.687
```

Values from the calculation:
M_tot in μB/cell: 0.00

***

[9]
Compound: SrLuCuS3
Source: the Materials Project database
Functional: PBE-GGA
Structure: optimized geometry

```
data_SrLuCuS3
_chemical_formula_sum 'Sr2 Lu2 Cu2 S6'
_cell_length_a 6.798
_cell_length_b 6.798
_cell_length_c 10.036
_cell_angle_alpha 90.00
_cell_angle_beta 90.00
_cell_angle_gamma 146.66
_space_group_name_H-M_alt 'P 1'
_space_group_IT_number 1
_space_group_name_Hall 'P 1'
loop_
_atom_site_label
_atom_site_type_symbol
_atom_site_fract_x
_atom_site_fract_y
_atom_site_fract_z
Sr1 Sr 0.749 0.251 0.750
Sr2 Sr 0.251 0.749 0.250
Lu1 Lu 0.000 0.000 0.000
Lu2 Lu 0.000 0.000 0.500
Cu1 Cu 0.528 0.472 0.250
Cu2 Cu 0.472 0.528 0.750
S1 S 0.075 0.925 0.750
S2 S 0.925 0.075 0.250
S3 S 0.635 0.365 0.064
S4 S 0.635 0.365 0.436
S5 S 0.365 0.635 0.564
S6 S 0.365 0.635 0.936
```

Values from the calculation:
M_tot in μB/cell: 0.00

***

[10]
Compound: PtCl4O5
Source: the Materials Project database
Functional: PBE-GGA
Structure: optimized geometry

```
data_PtCl4O5
_chemical_formula_sum 'Pt2 Cl8 O10'
_cell_length_a 6.730
_cell_length_b 6.730
_cell_length_c 11.189
_cell_angle_alpha 86.88
_cell_angle_beta 86.88
_cell_angle_gamma 106.93
_space_group_name_H-M_alt 'P 1'
_space_group_IT_number 1
_space_group_name_Hall 'P 1'
loop_
_atom_site_label
_atom_site_type_symbol
_atom_site_fract_x
_atom_site_fract_y
_atom_site_fract_z
Pt1 Pt 0.165 0.813 0.898
Pt2 Pt 0.813 0.165 0.398
Cl1 Cl 0.451 0.110 0.862
Cl2 Cl 0.110 0.451 0.362
Cl3 Cl 0.876 0.515 0.914
Cl4 Cl 0.515 0.876 0.414
Cl5 Cl 0.016 0.947 0.357
Cl6 Cl 0.947 0.016 0.857
Cl7 Cl 0.135 0.847 0.098
Cl8 Cl 0.847 0.135 0.598
O1 O 0.144 0.776 0.660
O2 O 0.776 0.144 0.160
O3 O 0.645 0.336 0.389
O4 O 0.336 0.645 0.889
O5 O 0.421 0.365 0.585
O6 O 0.365 0.421 0.085
O7 O 0.521 0.464 0.141
O8 O 0.464 0.521 0.641
O9 O 0.975 0.683 0.624
O10 O 0.683 0.975 0.124
```

Values from the calculation:
M_tot in μB/cell: 8.00

***

[11]
Compound: Zr2Se
Source: the Materials Project database
Functional: PBE-GGA
Structure: optimized geometry

```
data_Zr2Se
_chemical_formula_sum 'Zr24 Se12'
_cell_length_a 3.641
_cell_length_b 12.728
_cell_length_c 15.906
_cell_angle_alpha 90.00
_cell_angle_beta 90.00
_cell_angle_gamma 90.00
_space_group_name_H-M_alt 'P 1'
_space_group_IT_number 1
_space_group_name_Hall 'P 1'
loop_
_atom_site_label
_atom_site_type_symbol
_atom_site_fract_x
_atom_site_fract_y
_atom_site_fract_z
Zr1 Zr 0.000 0.850 0.976
Zr2 Zr 0.000 0.150 0.024
Zr3 Zr 0.500 0.350 0.524
Zr4 Zr 0.500 0.650 0.476
Zr5 Zr 0.000 0.923 0.747
Zr6 Zr 0.000 0.077 0.253
Zr7 Zr 0.500 0.423 0.753
Zr8 Zr 0.500 0.577 0.247
Zr9 Zr 0.000 0.417 0.920
Zr10 Zr 0.000 0.583 0.080
Zr11 Zr 0.500 0.917 0.580
Zr12 Zr 0.500 0.083 0.420
Zr13 Zr 0.000 0.532 0.610
Zr14 Zr 0.000 0.468 0.390
Zr15 Zr 0.500 0.032 0.890
Zr16 Zr 0.500 0.968 0.110
Zr17 Zr 0.000 0.199 0.797
Zr18 Zr 0.000 0.801 0.203
Zr19 Zr 0.500 0.699 0.703
Zr20 Zr 0.500 0.301 0.297
Zr21 Zr 0.000 0.123 0.576
Zr22 Zr 0.000 0.877 0.424
Zr23 Zr 0.500 0.623 0.924
Zr24 Zr 0.500 0.377 0.076
Se1 Se 0.000 0.579 0.793
Se2 Se 0.000 0.421 0.207
Se3 Se 0.500 0.079 0.707
Se4 Se 0.500 0.921 0.293
Se5 Se 0.000 0.755 0.580
Se6 Se 0.000 0.245 0.420
Se7 Se 0.500 0.255 0.920
Se8 Se 0.500 0.745 0.080
Se9 Se 0.000 0.317 0.652
Se10 Se 0.000 0.683 0.348
Se11 Se 0.500 0.817 0.848
Se12 Se 0.500 0.183 0.152
```

***

[12]
Compound: NdGa3Ag
Source: the Materials Project database
Functional: PBE-GGA
Structure: optimized geometry

```
data_NdGa3Ag
_chemical_formula_sum 'Nd1 Ga3 Ag1'
_cell_length_a 6.134
_cell_length_b 6.134
_cell_length_c 6.134
_cell_angle_alpha 137.36
_cell_angle_beta 137.36
_cell_angle_gamma 61.89
_space_group_name_H-M_alt 'P 1'
_space_group_IT_number 1
_space_group_name_Hall 'P 1'
loop_
_atom_site_label
_atom_site_type_symbol
_atom_site_fract_x
_atom_site_fract_y
_atom_site_fract_z
Nd1 Nd 0.998 0.998 0.000
Ga1 Ga 0.383 0.383 0.000
Ga2 Ga 0.749 0.249 0.500
Ga3 Ga 0.249 0.749 0.500
Ag1 Ag 0.622 0.622 0.000
```

Values from the calculation:
M_tot in μB/cell: 0.00

***

In g/cm3, the theoretical density values for the records above are, in order, 3.92; 2.16; 5.20; 4.88; 5.08; 8.13; 9.01; 2.92; 5.50; 2.87; 7.07; 7.32.
In eV per atom, the electronic total energy values for the records above are, in order, -3.261; -3.421; -6.107; -6.110; -5.742; -6.385; -5.781; -3.904; -5.469; -3.780; -7.793; -3.774.
In eV/atom, the formation energy from the elements values for the records above are, in order, -1.900; 0.086; -0.699; -2.124; -1.749; -0.351; -0.290; -1.339; -1.934; -0.040; -1.086; -0.437.